# 1
## Zr2TaN3 (GGA-PBE)

Data for a geometry-optimized Zr2TaN3 structure.

Cell: 5.3932 5.3932 3.0928 Å, 90.00 90.00 120.00°
With the nearest neighbours (Å) after each atom.
Space group P6/mmm (No. 191)
Inequivalent atoms, fractional coordinates:
Zr1 0.3333 0.6667 0.0000 [2 per cell]  6 N 2.19
Ta1 0.0000 0.0000 0.5000 [1 per cell]  6 N 2.70
N1 0.0000 0.5000 0.5000 [3 per cell]  4 Zr 2.19

Properties
Magnetic moment, μB per cell: 0.0
Energy, eV/atom: -9.872

***

# 2
## K3Y (GGA-PBE)

Data for a geometry-optimized K3Y structure.

Cell: 8.5811 8.5811 7.0958 Å, 90.00 90.00 120.00°
With the nearest neighbours (Å) after each atom.
Space group P6_3/mmc (No. 194)
Inequivalent atoms, fractional coordinates:
K1 0.1720 0.3440 0.2500 [6 per cell]  8 K 4.15-4.43, 4 Y 4.28-4.29
Y1 0.3333 0.6667 0.7500 [2 per cell]  12 K 4.28-4.29

Properties
Magnetic moment, μB per cell: 1.9
Energy, eV/atom: -1.886

***

| no. | ρ (kg/m³) | ΔE_f (kJ per mole of atoms) |
| --- | --- | --- |
| 1 | 8641 | -102 |
| 2 | 1513 | 54 |